Record 1
Material: V2P3O12
Method: DFT, PBE with a Hubbard U
State: optimized geometry

Results
ρ: 2.89 g/cm3
formation energy: -4200 kJ/mol of formula units

Cell and atoms, written as CIF:
```
data_V2P3O12
_chemical_formula_sum 'V4 P6 O24'
_cell_length_a 8.3648
_cell_length_b 8.3660
_cell_length_c 8.7050
_cell_angle_alpha 90.43
_cell_angle_beta 117.92
_cell_angle_gamma 119.64
_symmetry_space_group_name_H-M 'P -1'
_symmetry_Int_Tables_number 2
_symmetry_space_group_name_Hall '-P 1'
loop_
_atom_site_label
_atom_site_fract_x
_atom_site_fract_y
_atom_site_fract_z
V1 0.2097 0.3603 0.0663
V2 0.2182 0.8631 0.5811
P1 0.0072 0.0316 0.2547
P2 0.2766 0.5292 0.7517
P3 0.2827 0.7532 0.2443
O1 0.0717 0.3602 0.5750
O2 0.1049 0.7503 0.0714
O3 0.1323 0.9018 0.7326
O4 0.1388 0.0172 0.4452
O5 0.1559 0.1695 0.8896
O6 0.1661 0.1790 0.2087
O7 0.2338 0.5226 0.9057
O8 0.2616 0.5586 0.2310
O9 0.2908 0.8128 0.4171
O10 0.3123 0.7217 0.7105
O11 0.4762 0.5286 0.7982
O12 0.4949 0.0898 0.7304
```



Record 2
Material: Ba2AlCr3O7
Method: DFT, PBE with a Hubbard U
State: optimized geometry

Results
ρ: 5.38 g/cm3
formation energy: -2921 kJ/mol of formula units

Cell and atoms, written as CIF:
```
data_Ba2AlCr3O7
_chemical_formula_sum 'Ba2 Al1 Cr3 O7'
_cell_length_a 3.8263
_cell_length_b 3.9681
_cell_length_c 11.5769
_cell_angle_alpha 90.00
_cell_angle_beta 90.00
_cell_angle_gamma 90.00
_symmetry_space_group_name_H-M 'P m m m'
_symmetry_Int_Tables_number 47
_symmetry_space_group_name_Hall '-P 2 2'
loop_
_atom_site_label
_atom_site_fract_x
_atom_site_fract_y
_atom_site_fract_z
Ba1 0.0000 0.0000 0.1851
Al1 0.0000 0.0000 0.5000
Cr1 0.5000 0.5000 0.0000
Cr2 0.5000 0.5000 0.3607
O1 0.0000 0.5000 0.3930
O2 0.5000 0.0000 0.0000
O3 0.5000 0.0000 0.3926
O4 0.5000 0.5000 0.1798
```



Record 3
Material: Fe4P2O9
Method: DFT, PBE with a Hubbard U
State: optimized geometry

Results
ρ: 4.06 g/cm3
formation energy: -3147 kJ/mol of formula units

Cell and atoms, written as CIF:
```
data_Fe4P2O9
_chemical_formula_sum 'Fe16 P8 O36'
_cell_length_a 6.6662
_cell_length_b 11.4251
_cell_length_c 9.5257
_cell_angle_alpha 90.00
_cell_angle_beta 104.34
_cell_angle_gamma 90.00
_symmetry_space_group_name_H-M 'P 1 21/c 1'
_symmetry_Int_Tables_number 14
_symmetry_space_group_name_Hall '-P 2ybc'
loop_
_atom_site_label
_atom_site_fract_x
_atom_site_fract_y
_atom_site_fract_z
Fe1 0.0302 0.1341 0.3178
Fe2 0.2713 0.1189 0.7484
Fe3 0.3195 0.6036 0.4652
Fe4 0.4548 0.5946 0.1174
P1 0.2033 0.1711 0.0744
P2 0.2597 0.6301 0.8152
O1 0.0046 0.1073 0.0818
O2 0.0385 0.6692 0.7426
O3 0.1722 0.2023 0.5157
O4 0.2520 0.5590 0.2326
O5 0.2695 0.5079 0.8959
O6 0.3220 0.1927 0.2384
O7 0.3360 0.0952 0.9932
O8 0.3623 0.7141 0.9429
O9 0.3914 0.6193 0.7022
```



Record 4
Material: SrCa7Mn7FeO24
Method: DFT, PBE with a Hubbard U
State: optimized geometry

Results
ρ: 4.43 g/cm3
formation energy: -9236 kJ/mol of formula units

Cell and atoms, written as CIF:
```
data_SrCa7Mn7FeO24
_chemical_formula_sum 'Sr3 Ca21 Mn21 Fe3 O72'
_cell_length_a 10.8153
_cell_length_b 10.8153
_cell_length_c 13.2456
_cell_angle_alpha 90.00
_cell_angle_beta 90.00
_cell_angle_gamma 120.00
_symmetry_space_group_name_H-M 'R 3 m'
_symmetry_Int_Tables_number 160
_symmetry_space_group_name_Hall 'R 3 -2"'
loop_
_atom_site_label
_atom_site_fract_x
_atom_site_fract_y
_atom_site_fract_z
Sr1 0.0000 0.0000 0.0000
Ca1 0.0000 0.0000 0.4997
Ca2 0.0001 0.5001 0.9999
Ca3 0.9999 0.5000 0.4999
Mn1 0.0000 0.0000 0.7494
Mn2 0.0008 0.5004 0.2497
Mn3 0.1670 0.3341 0.0834
Fe1 0.0000 0.0000 0.2504
O1 0.0003 0.2498 0.5001
O2 0.9996 0.2526 0.9997
O3 0.0831 0.1663 0.6664
O4 0.0852 0.1704 0.1673
O5 0.1683 0.0841 0.3346
O6 0.1684 0.0842 0.8313
```



Record 5
Material: La2MgFe2O6
Method: DFT, PBE with a Hubbard U
State: optimized geometry

Results
ρ: 5.21 g/cm3
formation energy: -2794 kJ/mol of formula units

Cell and atoms, written as CIF:
```
data_La2MgFe2O6
_chemical_formula_sum 'La2 Mg1 Fe2 O6'
_cell_length_a 5.8849
_cell_length_b 5.9012
_cell_length_c 6.3414
_cell_angle_alpha 62.67
_cell_angle_beta 63.27
_cell_angle_gamma 60.15
_symmetry_space_group_name_H-M 'P 1'
_symmetry_Int_Tables_number 1
_symmetry_space_group_name_Hall 'P 1'
loop_
_atom_site_label
_atom_site_fract_x
_atom_site_fract_y
_atom_site_fract_z
La1 0.0000 0.0000 0.0000
La2 0.3939 0.3975 0.8126
Mg1 0.6169 0.6163 0.1546
Fe1 0.2005 0.2029 0.3954
Fe2 0.7895 0.7946 0.6195
O1 0.0753 0.8381 0.6552
O2 0.3211 0.5646 0.1427
O3 0.4268 0.0809 0.6534
O4 0.5644 0.9746 0.1427
O5 0.8329 0.4324 0.6522
O6 0.9748 0.3210 0.1425
```



Record 6
Material: Li9Mn2Co5O16
Method: DFT, PBE with a Hubbard U
State: optimized geometry

Results
ρ: 4.26 g/cm3
formation energy: -5596 kJ/mol of formula units

Cell and atoms, written as CIF:
```
data_Li9Mn2Co5O16
_chemical_formula_sum 'Li9 Mn2 Co5 O16'
_cell_length_a 5.7664
_cell_length_b 5.8491
_cell_length_c 10.1187
_cell_angle_alpha 74.50
_cell_angle_beta 73.55
_cell_angle_gamma 60.58
_symmetry_space_group_name_H-M 'P -1'
_symmetry_Int_Tables_number 2
_symmetry_space_group_name_Hall '-P 1'
loop_
_atom_site_label
_atom_site_fract_x
_atom_site_fract_y
_atom_site_fract_z
Li1 0.0000 0.0000 0.0000
Li2 0.2440 0.7545 0.2480
Li3 0.2437 0.7560 0.7548
Li4 0.2454 0.2476 0.7556
Li5 0.2515 0.2532 0.2440
Mn1 0.5000 0.5000 0.0000
Mn2 0.5000 0.5000 0.5000
Co1 0.0000 0.0000 0.5000
Co2 0.0000 0.5000 0.0000
Co3 0.0000 0.5000 0.5000
Co4 0.5000 0.0000 0.0000
Co5 0.5000 0.0000 0.5000
O1 0.1329 0.1122 0.6204
O2 0.1361 0.6105 0.1116
O3 0.1389 0.1516 0.1036
O4 0.1423 0.6263 0.6154
O5 0.3571 0.4037 0.8834
O6 0.3824 0.8516 0.3829
O7 0.3837 0.3736 0.3843
O8 0.3909 0.8576 0.8928
```



Record 7
Material: K4MoO8
Method: DFT, PBE with a Hubbard U
State: optimized geometry

Results
maximum piezoelectric response: 1.9 C/m²
ρ: 2.44 g/cm3
formation energy: -1461 kJ/mol of formula units

Cell and atoms, written as CIF:
```
data_K4MoO8
_chemical_formula_sum 'K4 Mo1 O8'
_cell_length_a 6.2603
_cell_length_b 6.3417
_cell_length_c 7.1701
_cell_angle_alpha 88.99
_cell_angle_beta 89.12
_cell_angle_gamma 65.41
_symmetry_space_group_name_H-M 'P 1'
_symmetry_Int_Tables_number 1
_symmetry_space_group_name_Hall 'P 1'
loop_
_atom_site_label
_atom_site_fract_x
_atom_site_fract_y
_atom_site_fract_z
K1 0.0000 0.0000 0.0000
K2 0.0647 0.9883 0.4761
K3 0.3043 0.3909 0.7939
K4 0.6939 0.6441 0.3648
Mo1 0.6243 0.7511 0.8585
O1 0.1504 0.5306 0.2395
O2 0.1625 0.4409 0.4318
O3 0.2863 0.6714 0.2141
O4 0.3569 0.8048 0.7409
O5 0.5507 0.9334 0.0584
O6 0.7796 0.4531 0.9954
O7 0.7930 0.8627 0.7184
O8 0.8223 0.4037 0.7853
```



Record 8
Material: CaV2P2O8
Method: DFT, PBE with a Hubbard U
State: optimized geometry

Results
ρ: 3.30 g/cm3
formation energy: -3504 kJ/mol of formula units

Cell and atoms, written as CIF:
```
data_CaV2P2O8
_chemical_formula_sum 'Ca8 V16 P16 O64'
_cell_length_a 17.0987
_cell_length_b 5.0107
_cell_length_c 17.4941
_cell_angle_alpha 90.00
_cell_angle_beta 116.90
_cell_angle_gamma 90.00
_symmetry_space_group_name_H-M 'C 1 2/c 1'
_symmetry_Int_Tables_number 15
_symmetry_space_group_name_Hall '-C 2yc'
loop_
_atom_site_label
_atom_site_fract_x
_atom_site_fract_y
_atom_site_fract_z
Ca1 0.1564 0.1623 0.1499
V1 0.0000 0.1948 0.2500
V2 0.0957 0.2295 0.4619
V3 0.2500 0.2500 0.0000
P1 0.0125 0.2818 0.6135
P2 0.2206 0.2248 0.3675
O1 0.0241 0.4140 0.1385
O2 0.0460 0.1004 0.6924
O3 0.0698 0.2169 0.5681
O4 0.0872 0.2358 0.9504
O5 0.1259 0.2401 0.3567
O6 0.2211 0.0892 0.5549
O7 0.2273 0.3258 0.2881
O8 0.2428 0.4378 0.1072
```



no.,spin magnetization (μB/f.u.)
1,1.0
2,11.0
3,16.0
4,26.8
5,8.0
6,7.8
7,0.0
8,6.0